The following is a DFT calculation (meta-GGA r2SCAN) of Hf2N2O after structural relaxation.

Summary:
Energy of formation = -2.57 eV/atom
Final energy = -1019.0 eV for the cell shown
Size of the total moment = 0.000 μB/f.u.

Cell lengths 8.6549, 8.6683, 8.6761 Å; angles 109.27, 109.53, 109.39 degrees
Closest atoms and distances in Å follow each position.
Positions (direct):
Hf 0.0000 0.0000 0.0000  4 N 2.09-2.16, 2 O 2.23-2.24
Hf 0.0007 0.4918 0.5008  5 N 2.08-2.21, 1 O 2.28
Hf 0.0335 0.7428 0.2731  4 N 2.12-2.22, 2 O 2.14-2.15
Hf 0.2121 0.4555 0.2381  4 N 2.10-2.24, 2 O 2.11-2.23
Hf 0.2411 0.2803 0.5181  4 N 2.07-2.23, 2 O 2.19-2.25
Hf 0.2476 0.7733 0.0288  5 N 2.12-2.20, 1 O 2.23
Hf 0.2797 0.0229 0.7338  3 N 2.06-2.12, 3 O 2.10-2.30
Hf 0.4698 0.2403 0.2149  3 N 2.05-2.11, 3 O 2.16-2.27
Hf 0.4953 0.4992 0.9868  3 N 2.06-2.15, 3 O 2.13-2.26
Hf 0.5014 0.9811 0.4821  4 N 2.08-2.18, 2 O 2.22-2.24
Hf 0.5293 0.7484 0.7756  4 N 2.10-2.20, 2 O 2.17-2.29
Hf 0.7137 0.9551 0.2396  6 N 2.12-2.26
Hf 0.7486 0.1987 0.9534  3 N 2.07-2.15, 3 O 2.14-2.20
Hf 0.7576 0.7099 0.4511  4 N 2.09-2.18, 2 O 2.21-2.25
Hf 0.7919 0.5299 0.7416  3 O 2.09-2.19, 3 N 2.13-2.14
Hf 0.9718 0.2393 0.7038  5 N 2.09-2.22
N 0.0063 0.2330 0.9563  4 Hf 2.13-2.16
N 0.0368 0.7681 0.5369  4 Hf 2.06-2.22
N 0.0411 0.5221 0.7615  4 Hf 2.08-2.15
N 0.2316 0.2517 0.7608  4 Hf 2.09-2.23
N 0.2411 0.2152 0.2613  4 Hf 2.11-2.24
N 0.2728 0.5367 0.5221  4 Hf 2.12-2.19
N 0.2728 0.7175 0.2541  4 Hf 2.10-2.21
N 0.4489 0.7132 0.9715  4 Hf 2.06-2.26
N 0.4892 0.9540 0.7198  4 Hf 2.10-2.18
N 0.5075 0.0348 0.2606  4 Hf 2.05-2.20
N 0.7236 0.4513 0.4569  4 Hf 2.07-2.18
N 0.7378 0.9562 0.5067  4 Hf 2.08-2.25
N 0.7666 0.7213 0.2133  4 Hf 2.12-2.18
N 0.7727 0.0040 0.0339  4 Hf 2.07-2.20
N 0.9648 0.2182 0.4393  4 Hf 2.07-2.22
N 0.9878 0.7565 0.0230  4 Hf 2.12-2.19
O 0.2282 0.9837 0.9411  4 Hf 2.10-2.25
O 0.2588 0.0249 0.4745  4 Hf 2.14-2.24
O 0.4578 0.4984 0.2180  4 Hf 2.11-2.27
O 0.5395 0.4823 0.7563  4 Hf 2.13-2.29
O 0.5493 0.2675 0.0102  4 Hf 2.15-2.30
O 0.7177 0.2673 0.7255  3 Hf 2.09-2.22
O 0.7575 0.7613 0.7175  4 Hf 2.17-2.24
O 0.9483 0.4577 0.2134  4 Hf 2.14-2.28